(1)
A relaxed structure of LiZnSb, computed with PBE-GGA.

Computed properties:
Maximum piezoelectric response (C/m2): 0.70
DFT total energy (eV/atom): -2.80
Crystal system: hexagonal

Structure (CIF):
```
data_LiZnSb
_cell_length_a 4.4648
_cell_length_b 4.4648
_cell_length_c 7.2381
_cell_angle_alpha 90.00
_cell_angle_beta 90.00
_cell_angle_gamma 120.00
_space_group_name_H-M_alt 'P 63 m c'
_space_group_IT_number 186
_space_group_name_Hall 'P 6c -2c'
loop_
_atom_site_label
_atom_site_type_symbol
_atom_site_fract_x
_atom_site_fract_y
_atom_site_fract_z
Li1 Li 0.0000 0.0000 0.0000
Zn1 Zn 0.3333 0.6667 0.3373
Sb1 Sb 0.3333 0.6667 0.7199
```

=====

(2)
A relaxed structure of Li31Zr2Sb13, computed with PBE-GGA.

Computed properties:
Magnetization (μB per atom): 0.001
DFT total energy (eV/atom): -3.35
Crystal system: monoclinic

Structure (CIF):
```
data_Li31Zr2Sb13
_cell_length_a 8.007
_cell_length_b 4.632
_cell_length_c 49.812
_cell_angle_alpha 90.00
_cell_angle_beta 93.18
_cell_angle_gamma 90.00
_space_group_name_H-M_alt 'C 1 m 1'
_space_group_IT_number 8
loop_
_space_group_symop_operation_xyz
'x,y,z'
'x,-y,z'
'x+1/2,y+1/2,z'
'x+1/2,-y+1/2,z'
loop_
_atom_site_label
_atom_site_type_symbol
_atom_site_fract_x
_atom_site_fract_y
_atom_site_fract_z
Li1 Li 0.000 0.000 0.000
Li2 Li 0.000 0.500 0.500
Li3 Li 0.019 0.500 0.557
Li4 Li 0.039 0.000 0.117
Li5 Li 0.039 0.500 0.617
Li6 Li 0.059 0.000 0.178
Li7 Li 0.077 0.500 0.732
Li8 Li 0.078 0.000 0.235
Li9 Li 0.095 0.500 0.787
Li10 Li 0.116 0.000 0.348
Li11 Li 0.155 0.000 0.466
Li12 Li 0.155 0.500 0.965
Li13 Li 0.175 0.500 0.024
Li14 Li 0.193 0.000 0.580
Li15 Li 0.193 0.500 0.079
Li16 Li 0.212 0.000 0.635
Li17 Li 0.231 0.000 0.694
Li18 Li 0.233 0.500 0.196
Li19 Li 0.270 0.000 0.811
Li20 Li 0.270 0.500 0.310
Li21 Li 0.308 0.500 0.425
Li22 Li 0.346 0.500 0.539
Li23 Li 0.347 0.000 0.041
Li24 Li 0.366 0.000 0.100
Li25 Li 0.385 0.000 0.155
Li26 Li 0.385 0.500 0.656
Li27 Li 0.404 0.500 0.711
Li28 Li 0.423 0.000 0.269
Li29 Li 0.423 0.500 0.769
Li30 Li 0.462 0.500 0.887
Li31 Li 0.463 0.000 0.387
Zr1 Zr 0.116 0.500 0.850
Zr2 Zr 0.309 0.000 0.927
Sb1 Sb 0.020 0.000 0.058
Sb2 Sb 0.059 0.500 0.676
Sb3 Sb 0.097 0.000 0.291
Sb4 Sb 0.136 0.500 0.908
Sb5 Sb 0.174 0.000 0.524
Sb6 Sb 0.212 0.500 0.135
Sb7 Sb 0.251 0.000 0.753
Sb8 Sb 0.289 0.500 0.367
Sb9 Sb 0.328 0.000 0.984
Sb10 Sb 0.366 0.500 0.600
Sb11 Sb 0.404 0.000 0.211
Sb12 Sb 0.442 0.500 0.828
Sb13 Sb 0.481 0.000 0.444
```

=====

(3)
A relaxed structure of Li3Sc, computed with PBE-GGA.

Computed properties:
Magnetization (μB per atom): 0.038
DFT total energy (eV/atom): -2.79
Crystal system: hexagonal

Structure (CIF):
```
data_Li3Sc
_cell_length_a 6.2315
_cell_length_b 6.2315
_cell_length_c 4.9327
_cell_angle_alpha 90.00
_cell_angle_beta 90.00
_cell_angle_gamma 120.00
_space_group_name_H-M_alt 'P 63/m m c'
_space_group_IT_number 194
_space_group_name_Hall '-P 6c 2c'
loop_
_atom_site_label
_atom_site_type_symbol
_atom_site_fract_x
_atom_site_fract_y
_atom_site_fract_z
Li1 Li 0.1609 0.3217 0.2500
Sc1 Sc 0.3333 0.6667 0.7500
```

=====

(4)
A relaxed structure of LiScSi, computed with PBE-GGA.

Computed properties:
Magnetization (μB per atom): 0.000
DFT total energy (eV/atom): -4.52
Crystal system: cubic

Structure (CIF):
```
data_LiScSi
_cell_length_a 6.319
_cell_length_b 6.319
_cell_length_c 6.319
_cell_angle_alpha 90.00
_cell_angle_beta 90.00
_cell_angle_gamma 90.00
_space_group_name_H-M_alt 'F -4 3 m'
_space_group_IT_number 216
_space_group_name_Hall 'F -4 2 3'
loop_
_atom_site_label
_atom_site_type_symbol
_atom_site_fract_x
_atom_site_fract_y
_atom_site_fract_z
Li1 Li 0.000 0.000 0.000
Sc1 Sc 0.250 0.250 0.250
Si1 Si 0.000 0.000 0.500
```

=====

(5)
A relaxed structure of LiSc2Tc, computed with PBE-GGA.

Computed properties:
DFT total energy (eV/atom): -6.36
Crystal system: cubic

Structure (CIF):
```
data_LiSc2Tc
_cell_length_a 6.591
_cell_length_b 6.591
_cell_length_c 6.591
_cell_angle_alpha 90.00
_cell_angle_beta 90.00
_cell_angle_gamma 90.00
_space_group_name_H-M_alt 'F m -3 m'
_space_group_IT_number 225
_space_group_name_Hall '-F 4 2 3'
loop_
_atom_site_label
_atom_site_type_symbol
_atom_site_fract_x
_atom_site_fract_y
_atom_site_fract_z
Li1 Li 0.000 0.000 0.000
Sc1 Sc 0.250 0.250 0.250
Tc1 Tc 0.000 0.000 0.500
```

=====

(6)
A relaxed structure of Li4SnSe4, computed with PBE-GGA.

Computed properties:
DFT total energy (eV/atom): -3.82
Crystal system: orthorhombic

Structure (CIF):
```
data_Li4SnSe4
_cell_length_a 15.091
_cell_length_b 8.384
_cell_length_c 6.714
_cell_angle_alpha 90.00
_cell_angle_beta 90.00
_cell_angle_gamma 90.00
_space_group_name_H-M_alt 'P n m a'
_space_group_IT_number 62
loop_
_space_group_symop_operation_xyz
'x,y,z'
'-x,-y,-z'
'-x+1/2,-y,z+1/2'
'x+1/2,y,-z+1/2'
'x+1/2,-y+1/2,-z+1/2'
'-x+1/2,y+1/2,z+1/2'
'-x,y+1/2,-z'
'x,-y+1/2,z'
loop_
_atom_site_label
_atom_site_type_symbol
_atom_site_fract_x
_atom_site_fract_y
_atom_site_fract_z
Li1 Li 0.000 0.000 0.000
Li2 Li 0.088 0.250 0.386
Li3 Li 0.177 0.505 0.822
Sn1 Sn 0.093 0.750 0.357
Se1 Se 0.068 0.250 0.776
Se2 Se 0.082 0.750 0.737
Se3 Se 0.160 0.004 0.214
```

=====

(7)
A relaxed structure of LiTaSe2, computed with PBE-GGA.

Computed properties:
Magnetization (μB per atom): 0.000
DFT total energy (eV/atom): -6.04
Crystal system: trigonal

Structure (CIF):
```
data_LiTaSe2
_cell_length_a 3.5473
_cell_length_b 3.5473
_cell_length_c 6.8372
_cell_angle_alpha 90.00
_cell_angle_beta 90.00
_cell_angle_gamma 120.00
_space_group_name_H-M_alt 'P -3 m 1'
_space_group_IT_number 164
_space_group_name_Hall '-P 3 2"'
loop_
_atom_site_label
_atom_site_type_symbol
_atom_site_fract_x
_atom_site_fract_y
_atom_site_fract_z
Li1 Li 0.0000 0.0000 0.0000
Ta1 Ta 0.0000 0.0000 0.5000
Se1 Se 0.3333 0.6667 0.7452
```

=====

(8)
A relaxed structure of LiTbSe2, computed with PBE-GGA.

Computed properties:
Magnetization (μB per atom): 0.000
DFT total energy (eV/atom): -4.99
Crystal system: tetragonal

Structure (CIF):
```
data_LiTbSe2
_cell_length_a 4.102
_cell_length_b 4.102
_cell_length_c 5.595
_cell_angle_alpha 90.00
_cell_angle_beta 90.00
_cell_angle_gamma 90.00
_space_group_name_H-M_alt 'P 4/m m m'
_space_group_IT_number 123
_space_group_name_Hall '-P 4 2'
loop_
_atom_site_label
_atom_site_type_symbol
_atom_site_fract_x
_atom_site_fract_y
_atom_site_fract_z
Li1 Li 0.000 0.000 0.000
Tb1 Tb 0.500 0.500 0.500
Se1 Se 0.000 0.000 0.500
Se2 Se 0.500 0.500 0.000
```

=====

(9)
A relaxed structure of LiTbSe2, computed with PBE-GGA.

Computed properties:
DFT total energy (eV/atom): -5.08
Crystal system: trigonal

Structure (CIF):
```
data_LiTbSe2
_cell_length_a 4.0876
_cell_length_b 4.0876
_cell_length_c 19.5255
_cell_angle_alpha 90.00
_cell_angle_beta 90.00
_cell_angle_gamma 120.00
_space_group_name_H-M_alt 'R -3 m'
_space_group_IT_number 166
_space_group_name_Hall '-R 3 2"'
loop_
_atom_site_label
_atom_site_type_symbol
_atom_site_fract_x
_atom_site_fract_y
_atom_site_fract_z
Li1 Li 0.0000 0.0000 0.0000
Tb1 Tb 0.0000 0.0000 0.5000
Se1 Se 0.0000 0.0000 0.2513
```

=====

(10)
A relaxed structure of LiTbSe2, computed with PBE-GGA.

Computed properties:
DFT total energy (eV/atom): -5.06
Crystal system: tetragonal

Structure (CIF):
```
data_LiTbSe2
_cell_length_a 5.718
_cell_length_b 5.718
_cell_length_c 11.571
_cell_angle_alpha 90.00
_cell_angle_beta 90.00
_cell_angle_gamma 90.00
_space_group_name_H-M_alt 'I 41/a m d'
_space_group_IT_number 141
loop_
_space_group_symop_operation_xyz
'x,y,z'
'-x,-y,-z'
'-y+1/4,x+3/4,z+1/4'
'y+1/4,-x+3/4,-z+1/4'
'-x+1/2,-y,z+1/2'
'x+1/2,y,-z+1/2'
'y+1/4,-x+1/4,z+3/4'
'-y+1/4,x+1/4,-z+3/4'
'x,-y,-z'
'-x,y,z'
'-y+1/4,-x+1/4,-z+3/4'
'y+1/4,x+1/4,z+3/4'
'-x+1/2,y,-z+1/2'
'x+1/2,-y,z+1/2'
'y+1/4,x+3/4,-z+1/4'
'-y+1/4,-x+3/4,z+1/4'
'x+1/2,y+1/2,z+1/2'
'-x+1/2,-y+1/2,-z+1/2'
'-y+3/4,x+1/4,z+3/4'
'y+3/4,-x+1/4,-z+3/4'
'-x,-y+1/2,z'
'x,y+1/2,-z'
'y+3/4,-x+3/4,z+1/4'
'-y+3/4,x+3/4,-z+1/4'
'x+1/2,-y+1/2,-z+1/2'
'-x+1/2,y+1/2,z+1/2'
'-y+3/4,-x+3/4,-z+1/4'
'y+3/4,x+3/4,z+1/4'
'-x,y+1/2,-z'
'x,-y+1/2,z'
'y+3/4,x+1/4,-z+3/4'
'-y+3/4,-x+1/4,z+3/4'
loop_
_atom_site_label
_atom_site_type_symbol
_atom_site_fract_x
_atom_site_fract_y
_atom_site_fract_z
Li1 Li 0.000 0.250 0.375
Tb1 Tb 0.000 0.250 0.875
Se1 Se 0.000 0.250 0.123
```

=====

(11)
A relaxed structure of LiTiSe2, computed with PBE-GGA.

Computed properties:
DFT total energy (eV/atom): -5.42
Crystal system: trigonal

Structure (CIF):
```
data_LiTiSe2
_cell_length_a 3.6611
_cell_length_b 3.6611
_cell_length_c 6.4978
_cell_angle_alpha 90.00
_cell_angle_beta 90.00
_cell_angle_gamma 120.00
_space_group_name_H-M_alt 'P -3 m 1'
_space_group_IT_number 164
_space_group_name_Hall '-P 3 2"'
loop_
_atom_site_label
_atom_site_type_symbol
_atom_site_fract_x
_atom_site_fract_y
_atom_site_fract_z
Li1 Li 0.0000 0.0000 0.0000
Ti1 Ti 0.0000 0.0000 0.5000
Se1 Se 0.3333 0.6667 0.7369
```

=====

(12)
A relaxed structure of LiTi3Se6, computed with PBE-GGA.

Computed properties:
DFT total energy (eV/atom): -5.82
Crystal system: trigonal

Structure (CIF):
```
data_LiTi3Se6
_cell_length_a 3.5771
_cell_length_b 3.5771
_cell_length_c 22.6109
_cell_angle_alpha 90.00
_cell_angle_beta 90.00
_cell_angle_gamma 120.00
_space_group_name_H-M_alt 'P -3 m 1'
_space_group_IT_number 164
_space_group_name_Hall '-P 3 2"'
loop_
_atom_site_label
_atom_site_type_symbol
_atom_site_fract_x
_atom_site_fract_y
_atom_site_fract_z
Li1 Li 0.0000 0.0000 0.0000
Ti1 Ti 0.0000 0.0000 0.1469
Ti2 Ti 0.0000 0.0000 0.5000
Se1 Se 0.3333 0.6667 0.0760
Se2 Se 0.3333 0.6667 0.4321
Se3 Se 0.3333 0.6667 0.7865
```

=====

(13)
A relaxed structure of LiZrSe2, computed with PBE-GGA.

Computed properties:
DFT total energy (eV/atom): -5.72
Crystal system: trigonal

Structure (CIF):
```
data_LiZrSe2
_cell_length_a 3.7410
_cell_length_b 3.7410
_cell_length_c 6.7016
_cell_angle_alpha 90.00
_cell_angle_beta 90.00
_cell_angle_gamma 120.00
_space_group_name_H-M_alt 'P -3 m 1'
_space_group_IT_number 164
_space_group_name_Hall '-P 3 2"'
loop_
_atom_site_label
_atom_site_type_symbol
_atom_site_fract_x
_atom_site_fract_y
_atom_site_fract_z
Li1 Li 0.0000 0.0000 0.0000
Zr1 Zr 0.0000 0.0000 0.5000
Se1 Se 0.3333 0.6667 0.7538
```

=====

(14)
A relaxed structure of Li22Si5, computed with PBE-GGA.

Computed properties:
Magnetization (μB per atom): 0.000
DFT total energy (eV/atom): -2.76
Crystal system: cubic

Structure (CIF):
```
data_Li22Si5
_cell_length_a 18.645
_cell_length_b 18.645
_cell_length_c 18.645
_cell_angle_alpha 90.00
_cell_angle_beta 90.00
_cell_angle_gamma 90.00
_space_group_name_H-M_alt 'F -4 3 m'
_space_group_IT_number 216
_space_group_name_Hall 'F -4 2 3'
loop_
_atom_site_label
_atom_site_type_symbol
_atom_site_fract_x
_atom_site_fract_y
_atom_site_fract_z
Li1 Li 0.000 0.000 0.000
Li2 Li 0.000 0.000 0.167
Li3 Li 0.000 0.000 0.500
Li4 Li 0.000 0.164 0.164
Li5 Li 0.008 0.159 0.659
Li6 Li 0.075 0.075 0.575
Li7 Li 0.077 0.077 0.077
Li8 Li 0.078 0.250 0.250
Li9 Li 0.082 0.082 0.418
Li10 Li 0.087 0.087 0.256
Li11 Li 0.089 0.089 0.756
Li12 Li 0.167 0.167 0.833
Li13 Li 0.173 0.173 0.673
Li14 Li 0.179 0.179 0.321
Li15 Li 0.250 0.250 0.250
Li16 Li 0.250 0.250 0.750
Si1 Si 0.000 0.000 0.325
Si2 Si 0.074 0.250 0.750
Si3 Si 0.083 0.083 0.917
Si4 Si 0.162 0.162 0.162
```

=====

Computed ΔH_f (0 K) (eV/atom) in order:
-0.43; -0.58; 0.22; 0.06; -0.12; -1.18; -1.09; -1.85; -1.93; -1.91; -1.46; -1.44; -1.59; -0.18